No. 1
Density functional theory data (PBE) for an optimized crystal structure of UPt4Au.

The structure in POSCAR format:
```
UPt4Au
1.0
4.481 -2.753 -0.922
0.278 -5.167 1.316
0.105 -3.727 -3.822
Pt Au U
4 1 1
Direct
0.625 0.625 0.126 Pt
0.625 0.625 0.625 Pt
0.625 0.126 0.625 Pt
0.126 0.625 0.625 Pt
0.250 0.250 0.250 Au
0.000 0.000 0.000 U
```

Properties
Formation energy in eV/atom: -0.54
Raw total energy in eV per atom: -7.01
SG: F-43m (216)

=====

No. 2
Density functional theory data (PBE) for an optimized crystal structure of UPt2Au3.

The structure in POSCAR format:
```
UPt2Au3
1.0
2.707 1.813 4.373
-3.390 -2.812 3.215
2.726 -2.542 -3.980
Au Pt U
3 2 1
Direct
0.250 0.750 0.500 Au
0.624 0.374 0.751 Au
0.624 0.873 0.249 Au
0.125 0.374 0.751 Pt
0.623 0.374 0.249 Pt
0.005 0.005 0.000 U
```

Properties
Formation energy in eV/atom: -0.26
Raw total energy in eV per atom: -5.81
Total moment in μB per atom: 0.056
SG: Imm2 (44)